VASP calculation (meta-GGA r2SCAN) on a geometry-optimized Tm5SbPd2 structure.

Output
For the raw total energy, the calculation gives -31.764 eV/atom. As for the formation enthalpy at 0 K: -0.86 eV/atom. The calculation puts the spin magnetization at 0.00 Bohr magnetons per cell. The density is 10.1 Mg/m³. Its space group is I4/mcm, No. 140.

Lattice parameters (Å, degrees): 8.6239 8.6239 8.6239 127.77 127.77 76.99
Closest atoms and distances in Å follow each position.
Positions (direct):
1 Tm 0.0000 0.0000 0.0000  4 Pd 2.94
2 Tm 0.0127 0.5127 0.8106  3 Pd 2.94, 2 Sb 3.22
3 Tm 0.2021 0.0127 0.5000  3 Pd 2.94, 2 Sb 3.22
4 Tm 0.2979 0.7979 0.8106  3 Pd 2.94, 2 Sb 3.22
5 Tm 0.4873 0.2979 0.5000  3 Pd 2.94, 2 Sb 3.22
6 Tm 0.5000 0.5000 0.0000  4 Pd 2.94
7 Tm 0.5127 0.7021 0.5000  3 Pd 2.94, 2 Sb 3.22
8 Tm 0.7021 0.2021 0.1894  3 Pd 2.94, 2 Sb 3.22
9 Tm 0.7979 0.9873 0.5000  3 Pd 2.94, 2 Sb 3.22
10 Tm 0.9873 0.4873 0.1894  3 Pd 2.94, 2 Sb 3.22
11 Sb 0.2500 0.2500 0.0000  10 Tm 3.22-3.37
12 Sb 0.7500 0.7500 0.0000  10 Tm 3.22-3.37
13 Pd 0.1376 0.3624 0.5000  8 Tm 2.94, 1 Pd 2.96
14 Pd 0.3624 0.8624 0.2247  8 Tm 2.94, 1 Pd 2.96
15 Pd 0.6376 0.1376 0.7753  8 Tm 2.94, 1 Pd 2.96
16 Pd 0.8624 0.6376 0.5000  8 Tm 2.94, 1 Pd 2.96